Run A
GaSb | PBE | relaxed

Structure (CIF):
```
data_GaSb
_chemical_formula_sum 'Ga50 Sb50'
_space_group_name_H-M_alt 'P 1'
_space_group_IT_number 1
_cell_length_a 14.317
_cell_length_b 13.457
_cell_length_c 14.248
_cell_angle_alpha 90.31
_cell_angle_beta 90.57
_cell_angle_gamma 91.16
loop_
_space_group_symop_operation_xyz
'x,y,z'
loop_
_atom_site_label
_atom_site_type_symbol
_atom_site_fract_x
_atom_site_fract_y
_atom_site_fract_z
_atom_site_occupancy
Sb1 Sb 0.546 0.042 0.544 1
Sb2 Sb 0.282 0.465 0.162 1
Sb3 Sb 0.790 0.249 0.668 1
Sb4 Sb 0.860 0.118 0.164 1
Sb5 Sb 0.609 0.925 0.283 1
Sb6 Sb 0.541 0.503 0.631 1
Sb7 Sb 0.428 0.812 0.339 1
Sb8 Sb 0.837 0.020 0.504 1
Sb9 Sb 0.956 0.799 0.072 1
Sb10 Sb 0.147 0.016 0.627 1
Sb11 Sb 0.294 0.298 0.636 1
Sb12 Sb 0.371 0.549 0.733 1
Sb13 Sb 0.089 0.219 0.175 1
Sb14 Sb 0.094 0.660 0.501 1
Sb15 Sb 0.711 0.340 0.505 1
Sb16 Sb 0.190 0.177 0.499 1
Sb17 Sb 0.694 0.589 0.414 1
Sb18 Sb 0.979 0.055 0.361 1
Sb19 Sb 0.243 0.829 0.572 1
Sb20 Sb 0.240 0.767 0.961 1
Sb21 Sb 0.970 0.447 0.127 1
Sb22 Sb 0.285 0.967 0.050 1
Sb23 Sb 0.765 0.552 0.153 1
Sb24 Sb 0.271 0.137 0.223 1
Sb25 Sb 0.291 0.207 0.010 1
Sb26 Sb 0.701 0.992 0.721 1
Sb27 Sb 0.130 0.556 0.736 1
Sb28 Sb 0.429 0.663 0.902 1
Sb29 Sb 0.917 0.813 0.647 1
Sb30 Sb 0.720 0.047 0.023 1
Sb31 Sb 0.493 0.975 0.065 1
Sb32 Sb 0.484 0.159 0.177 1
Sb33 Sb 0.471 0.169 0.693 1
Sb34 Sb 0.423 0.737 0.619 1
Sb35 Sb 0.477 0.344 0.370 1
Sb36 Sb 0.871 0.882 0.244 1
Sb37 Sb 0.670 0.135 0.268 1
Sb38 Sb 0.373 0.372 0.869 1
Sb39 Sb 0.912 0.541 0.490 1
Sb40 Sb 0.866 0.689 0.821 1
Sb41 Sb 0.040 0.037 0.064 1
Sb42 Sb 0.021 0.351 0.497 1
Sb43 Sb 0.017 0.131 0.758 1
Sb44 Sb 0.442 0.852 0.795 1
Sb45 Sb 0.638 0.641 0.876 1
Sb46 Sb 0.562 0.504 0.153 1
Sb47 Sb 0.637 0.882 0.885 1
Sb48 Sb 0.189 0.605 0.287 1
Sb49 Sb 0.653 0.431 0.798 1
Sb50 Sb 0.279 0.330 0.322 1
Ga1 Ga 0.671 0.241 0.962 1
Ga2 Ga 0.307 0.659 0.441 1
Ga3 Ga 0.856 0.284 0.024 1
Ga4 Ga 0.892 0.480 0.942 1
Ga5 Ga 0.108 0.342 0.699 1
Ga6 Ga 0.717 0.858 0.438 1
Ga7 Ga 0.540 0.840 0.494 1
Ga8 Ga 0.486 0.236 0.981 1
Ga9 Ga 0.101 0.987 0.874 1
Ga10 Ga 0.176 0.357 0.888 1
Ga11 Ga 0.845 0.885 0.926 1
Ga12 Ga 0.140 0.375 0.063 1
Ga13 Ga 0.820 0.342 0.228 1
Ga14 Ga 0.715 0.441 0.988 1
Ga15 Ga 0.470 0.133 0.381 1
Ga16 Ga 0.765 0.709 0.023 1
Ga17 Ga 0.552 0.670 0.273 1
Ga18 Ga 0.412 0.067 0.900 1
Ga19 Ga 0.230 0.870 0.375 1
Ga20 Ga 0.419 0.489 0.022 1
Ga21 Ga 0.026 0.909 0.501 1
Ga22 Ga 0.363 0.446 0.510 1
Ga23 Ga 0.894 0.109 0.935 1
Ga24 Ga 0.874 0.751 0.428 1
Ga25 Ga 0.959 0.261 0.324 1
Ga26 Ga 0.642 0.204 0.784 1
Ga27 Ga 0.941 0.550 0.686 1
Ga28 Ga 0.529 0.304 0.558 1
Ga29 Ga 0.181 0.750 0.148 1
Ga30 Ga 0.101 0.757 0.694 1
Ga31 Ga 0.638 0.686 0.571 1
Ga32 Ga 0.949 0.176 0.577 1
Ga33 Ga 0.179 0.474 0.542 1
Ga34 Ga 0.842 0.416 0.762 1
Ga35 Ga 0.979 0.595 0.292 1
Ga36 Ga 0.708 0.768 0.719 1
Ga37 Ga 0.128 0.924 0.209 1
Ga38 Ga 0.889 0.973 0.767 1
Ga39 Ga 0.308 0.043 0.407 1
Ga40 Ga 0.274 0.945 0.838 1
Ga41 Ga 0.057 0.797 0.879 1
Ga42 Ga 0.048 0.792 0.342 1
Ga43 Ga 0.065 0.620 0.073 1
Ga44 Ga 0.648 0.316 0.147 1
Ga45 Ga 0.036 0.595 0.896 1
Ga46 Ga 0.485 0.577 0.433 1
Ga47 Ga 0.986 0.314 0.865 1
Ga48 Ga 0.700 0.864 0.119 1
Ga49 Ga 0.733 0.727 0.267 1
Ga50 Ga 0.691 0.146 0.461 1
```



Run B
GaSb | PBE | relaxed

Structure (CIF):
```
data_GaSb
_chemical_formula_sum 'Ga1 Sb1'
_space_group_name_H-M_alt 'P 1'
_space_group_IT_number 1
_cell_length_a 4.206
_cell_length_b 4.206
_cell_length_c 4.206
_cell_angle_alpha 98.22
_cell_angle_beta 98.22
_cell_angle_gamma 135.56
loop_
_space_group_symop_operation_xyz
'x,y,z'
loop_
_atom_site_label
_atom_site_type_symbol
_atom_site_fract_x
_atom_site_fract_y
_atom_site_fract_z
_atom_site_occupancy
Ga1 Ga 0.750 0.250 0.500 1
Sb1 Sb 0.000 0.000 0.000 1
```



Run C
GaSb | PBE | relaxed

Structure (CIF):
```
data_GaSb
_chemical_formula_sum 'Ga1 Sb1'
_space_group_name_H-M_alt 'P 1'
_space_group_IT_number 1
_cell_length_a 4.236
_cell_length_b 4.236
_cell_length_c 4.236
_cell_angle_alpha 136.91
_cell_angle_beta 101.69
_cell_angle_gamma 93.85
loop_
_space_group_symop_operation_xyz
'x,y,z'
loop_
_atom_site_label
_atom_site_type_symbol
_atom_site_fract_x
_atom_site_fract_y
_atom_site_fract_z
_atom_site_occupancy
Ga1 Ga 0.000 0.000 0.000 1
Sb1 Sb 0.500 0.500 0.000 1
```



Run D
# PBE GaSb, relaxed
# - largest piezoelectric modulus (C/m2) = 0.27
data_GaSb
_chemical_formula_sum 'Ga1 Sb1'
_space_group_name_H-M_alt 'P 1'
_space_group_IT_number 1
_cell_length_a 4.398
_cell_length_b 4.398
_cell_length_c 4.398
_cell_angle_alpha 60.00
_cell_angle_beta 60.00
_cell_angle_gamma 60.00
loop_
_space_group_symop_operation_xyz
'x,y,z'
loop_
_atom_site_label
_atom_site_type_symbol
_atom_site_fract_x
_atom_site_fract_y
_atom_site_fract_z
_atom_site_occupancy
Ga1 Ga 0.000 0.000 0.000 1
Sb1 Sb 0.250 0.250 0.250 1



Stability, highest: run D



Run A
GaSb | PBE | relaxed

Structure (CIF):
```
data_GaSb
_chemical_formula_sum 'Ga50 Sb50'
_space_group_name_H-M_alt 'P 1'
_space_group_IT_number 1
_cell_length_a 14.233
_cell_length_b 14.636
_cell_length_c 13.574
_cell_angle_alpha 93.93
_cell_angle_beta 94.10
_cell_angle_gamma 85.64
loop_
_space_group_symop_operation_xyz
'x,y,z'
loop_
_atom_site_label
_atom_site_type_symbol
_atom_site_fract_x
_atom_site_fract_y
_atom_site_fract_z
_atom_site_occupancy
Ga1 Ga 0.392 0.568 0.653 1
Ga2 Ga 0.037 0.454 0.965 1
Ga3 Ga 0.185 0.169 0.094 1
Ga4 Ga 0.824 0.438 0.589 1
Ga5 Ga 0.127 0.706 0.043 1
Ga6 Ga 0.344 0.103 0.388 1
Ga7 Ga 0.821 0.429 0.923 1
Ga8 Ga 0.767 0.819 0.085 1
Ga9 Ga 0.819 0.306 0.202 1
Ga10 Ga 0.633 0.710 0.607 1
Ga11 Ga 0.071 0.622 0.875 1
Ga12 Ga 0.486 0.529 0.288 1
Ga13 Ga 0.537 0.749 0.298 1
Ga14 Ga 0.410 0.797 0.138 1
Ga15 Ga 0.280 0.812 0.995 1
Ga16 Ga 0.810 0.795 0.578 1
Ga17 Ga 0.673 0.115 0.395 1
Ga18 Ga 0.724 0.242 0.591 1
Ga19 Ga 0.224 0.818 0.493 1
Ga20 Ga 0.663 0.663 0.419 1
Ga21 Ga 0.550 0.305 0.675 1
Ga22 Ga 0.935 0.157 0.869 1
Ga23 Ga 0.921 0.528 0.799 1
Ga24 Ga 0.988 0.715 0.727 1
Ga25 Ga 0.040 0.995 0.912 1
Ga26 Ga 0.986 0.405 0.421 1
Ga27 Ga 0.252 0.448 0.960 1
Ga28 Ga 0.431 0.905 0.632 1
Ga29 Ga 0.989 0.059 0.708 1
Ga30 Ga 0.067 0.578 0.260 1
Ga31 Ga 0.428 0.376 0.519 1
Ga32 Ga 0.898 0.601 0.598 1
Ga33 Ga 0.194 0.529 0.128 1
Ga34 Ga 0.064 0.937 0.159 1
Ga35 Ga 0.391 0.406 0.730 1
Ga36 Ga 0.350 0.601 0.379 1
Ga37 Ga 0.484 0.352 0.336 1
Ga38 Ga 0.637 0.194 0.034 1
Ga39 Ga 0.704 0.442 0.144 1
Ga40 Ga 0.709 0.933 0.760 1
Ga41 Ga 0.690 0.415 0.704 1
Ga42 Ga 0.598 0.857 0.159 1
Ga43 Ga 0.125 0.805 0.859 1
Ga44 Ga 0.538 0.291 0.887 1
Ga45 Ga 0.401 0.126 0.639 1
Ga46 Ga 0.820 0.000 0.943 1
Ga47 Ga 0.476 0.172 0.125 1
Ga48 Ga 0.054 0.829 0.599 1
Ga49 Ga 0.078 0.678 0.470 1
Ga50 Ga 0.130 0.337 0.818 1
Sb1 Sb 0.682 0.617 0.078 1
Sb2 Sb 0.045 0.450 0.624 1
Sb3 Sb 0.816 0.783 0.352 1
Sb4 Sb 0.155 0.172 0.292 1
Sb5 Sb 0.961 0.843 0.010 1
Sb6 Sb 0.618 0.903 0.576 1
Sb7 Sb 0.097 0.794 0.298 1
Sb8 Sb 0.203 0.988 0.048 1
Sb9 Sb 0.566 0.504 0.559 1
Sb10 Sb 0.456 0.461 0.922 1
Sb11 Sb 0.274 0.008 0.546 1
Sb12 Sb 0.703 0.026 0.113 1
Sb13 Sb 0.945 0.306 0.719 1
Sb14 Sb 0.231 0.543 0.508 1
Sb15 Sb 0.267 0.692 0.218 1
Sb16 Sb 0.524 0.984 0.007 1
Sb17 Sb 0.400 0.020 0.200 1
Sb18 Sb 0.286 0.387 0.238 1
Sb19 Sb 0.656 0.115 0.744 1
Sb20 Sb 0.483 0.606 0.111 1
Sb21 Sb 0.160 0.949 0.726 1
Sb22 Sb 0.266 0.723 0.688 1
Sb23 Sb 0.473 0.119 0.831 1
Sb24 Sb 0.507 0.188 0.496 1
Sb25 Sb 0.894 0.148 0.104 1
Sb26 Sb 0.661 0.822 0.896 1
Sb27 Sb 0.077 0.356 0.246 1
Sb28 Sb 0.810 0.053 0.544 1
Sb29 Sb 0.374 0.871 0.359 1
Sb30 Sb 0.427 0.733 0.513 1
Sb31 Sb 0.912 0.596 0.393 1
Sb32 Sb 0.825 0.305 0.421 1
Sb33 Sb 0.669 0.479 0.358 1
Sb34 Sb 0.025 0.262 0.023 1
Sb35 Sb 0.628 0.241 0.249 1
Sb36 Sb 0.320 0.281 0.054 1
Sb37 Sb 0.965 0.175 0.536 1
Sb38 Sb 0.236 0.340 0.487 1
Sb39 Sb 0.931 0.711 0.177 1
Sb40 Sb 0.561 0.963 0.342 1
Sb41 Sb 0.372 0.854 0.816 1
Sb42 Sb 0.780 0.680 0.769 1
Sb43 Sb 0.949 0.914 0.439 1
Sb44 Sb 0.986 0.072 0.281 1
Sb45 Sb 0.527 0.710 0.779 1
Sb46 Sb 0.640 0.544 0.868 1
Sb47 Sb 0.269 0.272 0.686 1
Sb48 Sb 0.750 0.245 0.888 1
Sb49 Sb 0.206 0.521 0.772 1
Sb50 Sb 0.900 0.896 0.747 1
```



Run B
GaSb | PBE | relaxed

Structure (CIF):
```
data_GaSb
_chemical_formula_sum 'Ga50 Sb50'
_space_group_name_H-M_alt 'P 1'
_space_group_IT_number 1
_cell_length_a 13.000
_cell_length_b 14.473
_cell_length_c 15.118
_cell_angle_alpha 91.75
_cell_angle_beta 92.29
_cell_angle_gamma 89.40
loop_
_space_group_symop_operation_xyz
'x,y,z'
loop_
_atom_site_label
_atom_site_type_symbol
_atom_site_fract_x
_atom_site_fract_y
_atom_site_fract_z
_atom_site_occupancy
Ga1 Ga 0.937 0.403 0.179 1
Ga2 Ga 0.829 0.950 0.386 1
Ga3 Ga 0.354 0.984 0.571 1
Ga4 Ga 0.239 0.364 0.013 1
Ga5 Ga 0.128 0.073 0.233 1
Ga6 Ga 0.087 0.641 0.193 1
Ga7 Ga 0.417 0.171 0.534 1
Ga8 Ga 0.688 0.338 0.896 1
Ga9 Ga 0.171 0.680 0.731 1
Ga10 Ga 0.423 0.278 0.394 1
Ga11 Ga 0.853 0.226 0.771 1
Ga12 Ga 0.801 0.250 0.142 1
Ga13 Ga 0.639 0.198 0.795 1
Ga14 Ga 0.046 0.434 0.018 1
Ga15 Ga 0.068 0.617 0.983 1
Ga16 Ga 0.915 0.655 0.626 1
Ga17 Ga 0.550 0.041 0.489 1
Ga18 Ga 0.970 0.410 0.627 1
Ga19 Ga 0.871 0.908 0.897 1
Ga20 Ga 0.828 0.758 0.801 1
Ga21 Ga 0.556 0.308 0.256 1
Ga22 Ga 0.242 0.520 0.666 1
Ga23 Ga 0.551 0.666 0.398 1
Ga24 Ga 0.120 0.706 0.558 1
Ga25 Ga 0.609 0.296 0.053 1
Ga26 Ga 0.792 0.980 0.630 1
Ga27 Ga 0.205 0.836 0.291 1
Ga28 Ga 0.488 0.041 0.779 1
Ga29 Ga 0.678 0.182 0.630 1
Ga30 Ga 0.680 0.836 0.707 1
Ga31 Ga 0.785 0.061 0.089 1
Ga32 Ga 0.084 0.046 0.908 1
Ga33 Ga 0.561 0.496 0.989 1
Ga34 Ga 0.740 0.442 0.078 1
Ga35 Ga 0.115 0.875 0.140 1
Ga36 Ga 0.585 0.300 0.517 1
Ga37 Ga 0.231 0.499 0.149 1
Ga38 Ga 0.154 0.396 0.557 1
Ga39 Ga 0.245 0.850 0.676 1
Ga40 Ga 0.761 0.328 0.297 1
Ga41 Ga 0.831 0.137 0.281 1
Ga42 Ga 0.557 0.961 0.642 1
Ga43 Ga 0.448 0.765 0.022 1
Ga44 Ga 0.117 0.288 0.711 1
Ga45 Ga 0.318 0.815 0.145 1
Ga46 Ga 0.161 0.987 0.521 1
Ga47 Ga 0.262 0.918 0.910 1
Ga48 Ga 0.408 0.600 0.145 1
Ga49 Ga 0.383 0.712 0.294 1
Ga50 Ga 0.090 0.483 0.299 1
Sb1 Sb 0.373 0.213 0.000 1
Sb2 Sb 0.893 0.574 0.101 1
Sb3 Sb 0.627 0.066 0.924 1
Sb4 Sb 0.931 0.980 0.205 1
Sb5 Sb 0.881 0.305 0.984 1
Sb6 Sb 0.608 0.134 0.332 1
Sb7 Sb 0.956 0.726 0.358 1
Sb8 Sb 0.066 0.841 0.867 1
Sb9 Sb 0.506 0.474 0.360 1
Sb10 Sb 0.776 0.109 0.479 1
Sb11 Sb 0.189 0.669 0.385 1
Sb12 Sb 0.528 0.913 0.146 1
Sb13 Sb 0.707 0.437 0.445 1
Sb14 Sb 0.494 0.429 0.645 1
Sb15 Sb 0.335 0.750 0.846 1
Sb16 Sb 0.127 0.036 0.704 1
Sb17 Sb 0.435 0.357 0.881 1
Sb18 Sb 0.352 0.505 0.498 1
Sb19 Sb 0.924 0.260 0.409 1
Sb20 Sb 0.865 0.812 0.524 1
Sb21 Sb 0.204 0.172 0.569 1
Sb22 Sb 0.687 0.670 0.906 1
Sb23 Sb 0.976 0.784 0.034 1
Sb24 Sb 0.558 0.836 0.868 1
Sb25 Sb 0.961 0.158 0.625 1
Sb26 Sb 0.677 0.486 0.783 1
Sb27 Sb 0.468 0.873 0.412 1
Sb28 Sb 0.040 0.918 0.379 1
Sb29 Sb 0.442 0.794 0.592 1
Sb30 Sb 0.598 0.662 0.668 1
Sb31 Sb 0.715 0.678 0.279 1
Sb32 Sb 0.434 0.396 0.125 1
Sb33 Sb 0.657 0.868 0.304 1
Sb34 Sb 0.278 0.585 0.970 1
Sb35 Sb 0.222 0.363 0.391 1
Sb36 Sb 0.985 0.623 0.803 1
Sb37 Sb 0.576 0.113 0.120 1
Sb38 Sb 0.610 0.659 0.102 1
Sb39 Sb 0.973 0.419 0.819 1
Sb40 Sb 0.714 0.871 0.014 1
Sb41 Sb 0.445 0.243 0.715 1
Sb42 Sb 0.054 0.263 0.258 1
Sb43 Sb 0.344 0.984 0.265 1
Sb44 Sb 0.002 0.541 0.494 1
Sb45 Sb 0.222 0.430 0.832 1
Sb46 Sb 0.299 0.088 0.841 1
Sb47 Sb 0.863 0.095 0.918 1
Sb48 Sb 0.768 0.370 0.642 1
Sb49 Sb 0.250 0.004 0.076 1
Sb50 Sb 0.726 0.642 0.518 1
```



Run C
GaSb | PBE | relaxed

Structure (CIF):
```
data_GaSb
_chemical_formula_sum 'Ga50 Sb50'
_space_group_name_H-M_alt 'P 1'
_space_group_IT_number 1
_cell_length_a 13.519
_cell_length_b 15.057
_cell_length_c 13.467
_cell_angle_alpha 91.32
_cell_angle_beta 87.44
_cell_angle_gamma 86.76
loop_
_space_group_symop_operation_xyz
'x,y,z'
loop_
_atom_site_label
_atom_site_type_symbol
_atom_site_fract_x
_atom_site_fract_y
_atom_site_fract_z
_atom_site_occupancy
Ga1 Ga 0.419 0.836 0.232 1
Ga2 Ga 0.638 0.681 0.543 1
Ga3 Ga 0.132 0.251 0.340 1
Ga4 Ga 0.342 0.007 0.062 1
Ga5 Ga 0.868 0.671 0.890 1
Ga6 Ga 0.527 0.926 0.074 1
Ga7 Ga 0.131 0.506 0.634 1
Ga8 Ga 0.544 0.225 0.894 1
Ga9 Ga 0.757 0.203 0.999 1
Ga10 Ga 0.322 0.673 0.630 1
Ga11 Ga 0.857 0.105 0.125 1
Ga12 Ga 0.971 0.456 0.070 1
Ga13 Ga 0.627 0.446 0.349 1
Ga14 Ga 0.768 0.061 0.471 1
Ga15 Ga 0.744 0.361 0.666 1
Ga16 Ga 0.719 0.489 0.003 1
Ga17 Ga 0.563 0.458 0.819 1
Ga18 Ga 0.683 0.040 0.099 1
Ga19 Ga 0.517 0.238 0.502 1
Ga20 Ga 0.410 0.727 0.395 1
Ga21 Ga 0.879 0.098 0.786 1
Ga22 Ga 0.954 0.709 0.707 1
Ga23 Ga 0.964 0.118 0.957 1
Ga24 Ga 0.049 0.835 0.810 1
Ga25 Ga 0.786 0.625 0.390 1
Ga26 Ga 0.148 0.168 0.932 1
Ga27 Ga 0.421 0.785 0.027 1
Ga28 Ga 0.394 0.489 0.185 1
Ga29 Ga 0.200 0.405 0.416 1
Ga30 Ga 0.470 0.559 0.401 1
Ga31 Ga 0.287 0.537 0.516 1
Ga32 Ga 0.623 0.328 0.099 1
Ga33 Ga 0.694 0.833 0.057 1
Ga34 Ga 0.173 0.230 0.673 1
Ga35 Ga 0.929 0.325 0.635 1
Ga36 Ga 0.298 0.428 0.037 1
Ga37 Ga 0.825 0.471 0.815 1
Ga38 Ga 0.048 0.349 0.781 1
Ga39 Ga 0.736 0.083 0.665 1
Ga40 Ga 0.396 0.084 0.659 1
Ga41 Ga 0.702 0.338 0.878 1
Ga42 Ga 0.677 0.585 0.755 1
Ga43 Ga 0.748 0.826 0.499 1
Ga44 Ga 0.171 0.341 0.932 1
Ga45 Ga 0.411 0.374 0.888 1
Ga46 Ga 0.893 0.270 0.859 1
Ga47 Ga 0.067 0.701 0.199 1
Ga48 Ga 0.189 0.850 0.660 1
Ga49 Ga 0.248 0.022 0.875 1
Ga50 Ga 0.574 0.832 0.404 1
Sb1 Sb 0.954 0.050 0.285 1
Sb2 Sb 0.158 0.651 0.766 1
Sb3 Sb 0.196 0.034 0.674 1
Sb4 Sb 0.311 0.238 0.158 1
Sb5 Sb 0.975 0.560 0.278 1
Sb6 Sb 0.262 0.683 0.113 1
Sb7 Sb 0.780 0.435 0.202 1
Sb8 Sb 0.516 0.629 0.937 1
Sb9 Sb 0.407 0.866 0.643 1
Sb10 Sb 0.609 0.232 0.683 1
Sb11 Sb 0.841 0.584 0.607 1
Sb12 Sb 0.212 0.777 0.468 1
Sb13 Sb 0.644 0.734 0.221 1
Sb14 Sb 0.265 0.584 0.317 1
Sb15 Sb 0.438 0.415 0.561 1
Sb16 Sb 0.685 0.762 0.869 1
Sb17 Sb 0.343 0.205 0.813 1
Sb18 Sb 0.606 0.262 0.315 1
Sb19 Sb 0.854 0.211 0.382 1
Sb20 Sb 0.985 0.026 0.611 1
Sb21 Sb 0.660 0.063 0.901 1
Sb22 Sb 0.847 0.922 0.843 1
Sb23 Sb 0.454 0.958 0.845 1
Sb24 Sb 0.384 0.941 0.426 1
Sb25 Sb 0.297 0.584 0.922 1
Sb26 Sb 0.017 0.195 0.516 1
Sb27 Sb 0.406 0.345 0.311 1
Sb28 Sb 0.873 0.914 0.055 1
Sb29 Sb 0.277 0.103 0.311 1
Sb30 Sb 0.980 0.283 0.194 1
Sb31 Sb 0.313 0.218 0.491 1
Sb32 Sb 0.831 0.612 0.121 1
Sb33 Sb 0.193 0.872 0.074 1
Sb34 Sb 0.146 0.415 0.187 1
Sb35 Sb 0.009 0.758 0.008 1
Sb36 Sb 0.547 0.042 0.516 1
Sb37 Sb 0.014 0.516 0.877 1
Sb38 Sb 0.281 0.390 0.726 1
Sb39 Sb 0.566 0.570 0.139 1
Sb40 Sb 0.020 0.688 0.505 1
Sb41 Sb 0.745 0.936 0.318 1
Sb42 Sb 0.996 0.451 0.504 1
Sb43 Sb 0.502 0.699 0.708 1
Sb44 Sb 0.644 0.921 0.657 1
Sb45 Sb 0.640 0.486 0.554 1
Sb46 Sb 0.948 0.870 0.461 1
Sb47 Sb 0.108 0.859 0.296 1
Sb48 Sb 0.288 0.830 0.870 1
Sb49 Sb 0.551 0.022 0.260 1
Sb50 Sb 0.113 0.125 0.141 1
```



Stability, highest: run A